Entry from the Materials Project database: TlAgC2N2 after structural relaxation (PBE).

Unit cell a=7.872 b=14.860 c=8.682 alpha=90.00 beta=92.10 gamma=90.00
Space group P2_1/c (No. 14)
Inequivalent atoms, fractional coordinates:
Tl 0.197 0.238 0.473 [4 per cell]
Tl 0.273 0.548 0.031 [4 per cell]
Ag 0.000 0.000 0.000 [2 per cell]
Ag 0.297 0.679 0.546 [4 per cell]
Ag 0.500 0.000 0.000 [2 per cell]
C 0.025 0.064 0.788 [4 per cell]
C 0.150 0.683 0.343 [4 per cell]
C 0.388 0.068 0.180 [4 per cell]
C 0.465 0.664 0.735 [4 per cell]
N 0.029 0.088 0.659 [4 per cell]
N 0.086 0.679 0.218 [4 per cell]
N 0.333 0.101 0.291 [4 per cell]
N 0.446 0.146 0.657 [4 per cell]

Calculated values
formation enthalpy at 0 K: 0.2428 eV/atom

=====

Entry from the Materials Project database: Cs2Si3SnO9 after structural relaxation (PBE).

Unit cell a=8.082 b=10.521 c=11.941 alpha=90.00 beta=90.00 gamma=90.00
Space group P2_12_12_1 (No. 19)
Inequivalent atoms, fractional coordinates:
Cs 0.074 0.108 0.021 [4 per cell]
Cs 0.233 0.212 0.397 [4 per cell]
Si 0.060 0.873 0.286 [4 per cell]
Si 0.079 0.110 0.708 [4 per cell]
Si 0.084 0.475 0.993 [4 per cell]
Sn 0.245 0.410 0.736 [4 per cell]
O 0.030 0.884 0.424 [4 per cell]
O 0.060 0.055 0.578 [4 per cell]
O 0.064 0.724 0.253 [4 per cell]
O 0.068 0.551 0.715 [4 per cell]
O 0.079 0.265 0.700 [4 per cell]
O 0.084 0.449 0.281 [4 per cell]
O 0.192 0.388 0.908 [4 per cell]
O 0.195 0.573 0.067 [4 per cell]
O 0.241 0.942 0.259 [4 per cell]

Calculated values
formation enthalpy at 0 K: -2.8717 eV/atom

=====

Entry from the Materials Project database: Tl2SnF6 after structural relaxation (PBE).

Unit cell a=6.1826 b=6.1826 c=4.9653 alpha=90.00 beta=90.00 gamma=120.00
Space group P-3m1 (No. 164)
Inequivalent atoms, fractional coordinates:
Tl 0.3333 0.6667 0.1883 [2 per cell]
Sn 0.0000 0.0000 0.5000 [1 per cell]
F 0.1564 0.3129 0.7242 [6 per cell]

Calculated values
formation enthalpy at 0 K: -2.5489 eV/atom

=====

Entry from the Materials Project database: H22Pt2C6SO6 after structural relaxation (PBE).

Unit cell a=9.824 b=7.544 c=10.304 alpha=90.00 beta=97.39 gamma=90.00
Space group P2_1 (No. 4)
Inequivalent atoms, fractional coordinates:
H 0.013 0.065 0.248 [2 per cell]
H 0.021 0.845 0.498 [2 per cell]
H 0.024 0.191 0.784 [2 per cell]
H 0.049 0.806 0.994 [2 per cell]
H 0.112 0.676 0.669 [2 per cell]
H 0.114 0.701 0.842 [2 per cell]
H 0.126 0.071 0.679 [2 per cell]
H 0.134 0.015 0.851 [2 per cell]
H 0.189 0.511 0.083 [2 per cell]
H 0.190 0.274 0.082 [2 per cell]
H 0.221 0.202 0.413 [2 per cell]
H 0.237 0.000 0.164 [2 per cell]
H 0.280 0.461 0.801 [2 per cell]
H 0.282 0.197 0.371 [2 per cell]
H 0.311 0.783 0.169 [2 per cell]
H 0.315 0.283 0.691 [2 per cell]
H 0.362 0.949 0.057 [2 per cell]
H 0.379 0.766 0.789 [2 per cell]
H 0.404 0.290 0.860 [2 per cell]
H 0.443 0.293 0.146 [2 per cell]
H 0.454 0.198 0.334 [2 per cell]
H 0.455 0.631 0.923 [2 per cell]
Pt 0.088 0.391 0.288 [2 per cell]
Pt 0.481 0.998 0.300 [2 per cell]
C 0.048 0.687 0.748 [2 per cell]
C 0.070 0.063 0.764 [2 per cell]
C 0.127 0.392 0.095 [2 per cell]
C 0.330 0.924 0.154 [2 per cell]
C 0.354 0.364 0.776 [2 per cell]
C 0.473 0.698 0.832 [2 per cell]
S 0.311 0.692 0.439 [2 per cell]
O 0.014 0.401 0.992 [2 per cell]
O 0.074 0.373 0.487 [2 per cell]
O 0.211 0.827 0.460 [2 per cell]
O 0.269 0.582 0.319 [2 per cell]
O 0.341 0.571 0.554 [2 per cell]
O 0.450 0.779 0.420 [2 per cell]

Calculated values
formation enthalpy at 0 K: -0.3512 eV/atom

=====

Entry from the Materials Project database: Na3NdTi2Nb2O12 after structural relaxation (PBE).

Unit cell a=15.586 b=5.535 c=5.629 alpha=90.00 beta=90.00 gamma=90.00
Space group Pmc2_1 (No. 26)
Inequivalent atoms, fractional coordinates:
Na 0.000 0.244 0.000 [2 per cell]
Na 0.253 0.249 0.960 [4 per cell]
Nd 0.500 0.243 0.013 [2 per cell]
Ti 0.371 0.258 0.490 [4 per cell]
Nb 0.126 0.256 0.490 [4 per cell]
O 0.000 0.318 0.442 [2 per cell]
O 0.108 0.041 0.750 [4 per cell]
O 0.144 0.457 0.170 [4 per cell]
O 0.253 0.182 0.474 [4 per cell]
O 0.365 0.464 0.172 [4 per cell]
O 0.401 0.036 0.738 [4 per cell]
O 0.500 0.324 0.439 [2 per cell]

Calculated values
formation enthalpy at 0 K: -3.1314 eV/atom

=====

Entry from the Materials Project database: TlC4S4N after structural relaxation (PBE).

Unit cell a=6.784 b=9.017 c=9.968 alpha=111.26 beta=93.91 gamma=107.23
Space group P-1 (No. 2)
Inequivalent atoms, fractional coordinates:
Tl 0.162 0.357 0.419 [2 per cell]
C 0.038 0.276 0.746 [2 per cell]
C 0.067 0.229 0.894 [2 per cell]
C 0.135 0.848 0.253 [2 per cell]
C 0.153 0.375 0.688 [2 per cell]
S 0.323 0.847 0.731 [2 per cell]
S 0.373 0.736 0.893 [2 per cell]
S 0.409 0.517 0.775 [2 per cell]
S 0.425 0.734 0.556 [2 per cell]
N 0.096 0.900 0.133 [2 per cell]

Calculated values
formation enthalpy at 0 K: 0.6642 eV/atom

=====

Entry from the Materials Project database: Ce2Mo2C3 after structural relaxation (PBE).

Unit cell a=12.161 b=3.356 c=5.787 alpha=90.00 beta=114.93 gamma=90.00
Space group C2/m (No. 12)
Inequivalent atoms, fractional coordinates:
Ce 0.104 0.000 0.307 [4 per cell]
Mo 0.159 0.500 0.825 [4 per cell]
C 0.000 0.500 0.500 [2 per cell]
C 0.248 0.000 0.761 [4 per cell]

Calculated values
formation enthalpy at 0 K: -0.2863 eV/atom

=====

Entry from the Materials Project database: Na6Ca4Nb2Si3S6O36 after structural relaxation (PBE).

Unit cell a=9.2021 b=9.2021 c=23.4330 alpha=90.00 beta=90.00 gamma=120.00
Space group P3c1 (No. 158)
Inequivalent atoms, fractional coordinates:
Na 0.0000 0.0000 0.0000 [2 per cell]
Na 0.0330 0.3631 0.0954 [6 per cell]
Na 0.3333 0.6667 0.1722 [2 per cell]
Na 0.6667 0.3333 0.3435 [2 per cell]
Ca 0.0000 0.0000 0.3624 [2 per cell]
Ca 0.3333 0.6667 0.0204 [2 per cell]
Ca 0.3333 0.6667 0.3240 [2 per cell]
Ca 0.6667 0.3333 0.1948 [2 per cell]
Nb 0.0000 0.0000 0.1524 [2 per cell]
Nb 0.6667 0.3333 0.4994 [2 per cell]
Si 0.3697 0.0375 0.5954 [6 per cell]
S 0.0080 0.2914 0.2568 [6 per cell]
S 0.0128 0.3608 0.9299 [6 per cell]
O 0.0082 0.2009 0.3078 [6 per cell]
O 0.0096 0.1908 0.2036 [6 per cell]
O 0.1007 0.4636 0.8796 [6 per cell]
O 0.1022 0.4342 0.9837 [6 per cell]
O 0.1530 0.4689 0.5811 [6 per cell]
O 0.1637 0.4567 0.2525 [6 per cell]
O 0.1909 0.0473 0.6030 [6 per cell]
O 0.2034 0.0160 0.9252 [6 per cell]
O 0.4493 0.1440 0.2557 [6 per cell]
O 0.4693 0.1751 0.5393 [6 per cell]
O 0.4951 0.1060 0.6474 [6 per cell]
O 0.5080 0.1579 0.9326 [6 per cell]

Calculated values
formation enthalpy at 0 K: -2.5757 eV/atom